# 1
Compound: Ta4Te3N2
Source: the Materials Project database
Functional: PBE-GGA
Structure: relaxed

Calculated values
The value obtained for the formation energy from the elements is -503 meV/atom. The calculation puts the total energy at -8.5933 eV/atom. The volume comes out at 24.8 Å³ per atom.

Unit cell a=5.530 b=10.747 c=15.006 alpha=90.00 beta=90.00 gamma=90.00
Atoms (fractional coordinates):
Ta 0.631 0.250 0.904
Ta 0.131 0.250 0.596
Ta 0.369 0.750 0.096
Ta 0.869 0.750 0.404
Ta 0.625 0.250 0.534
Ta 0.125 0.250 0.966
Ta 0.375 0.750 0.466
Ta 0.875 0.750 0.034
Ta 0.757 0.461 0.018
Ta 0.257 0.039 0.482
Ta 0.243 0.961 0.982
Ta 0.743 0.539 0.518
Ta 0.243 0.539 0.982
Ta 0.743 0.961 0.518
Ta 0.757 0.039 0.018
Ta 0.257 0.461 0.482
Te 0.870 0.250 0.128
Te 0.370 0.250 0.372
Te 0.130 0.750 0.872
Te 0.630 0.750 0.628
Te 0.547 0.564 0.340
Te 0.047 0.936 0.160
Te 0.453 0.064 0.660
Te 0.953 0.436 0.840
Te 0.453 0.436 0.660
Te 0.953 0.064 0.840
Te 0.547 0.936 0.340
Te 0.047 0.564 0.160
N 0.571 0.621 0.032
N 0.071 0.879 0.468
N 0.429 0.121 0.968
N 0.929 0.379 0.532
N 0.429 0.379 0.968
N 0.929 0.121 0.532
N 0.571 0.879 0.032
N 0.071 0.621 0.468

# 2
Compound: ThTaN3
Source: the Materials Project database
Functional: PBE-GGA
Structure: relaxed

Calculated values
The value obtained for the formation energy from the elements is -1448 meV/atom. The calculation puts the total energy at -10.0872 eV/atom. The volume comes out at 13.4 Å³ per atom.

Unit cell a=4.064 b=4.064 c=4.064 alpha=90.00 beta=90.00 gamma=90.00
Atoms (fractional coordinates):
Th 0.000 0.000 0.000
Ta 0.500 0.500 0.500
N 0.500 0.000 0.500
N 0.500 0.500 0.000
N 0.000 0.500 0.500

# 3
Compound: ThTaN3
Source: the Materials Project database
Functional: PBE-GGA
Structure: relaxed

Calculated values
The value obtained for the formation energy from the elements is -1679 meV/atom. The calculation puts the total energy at -10.3185 eV/atom. The volume comes out at 13.3 Å³ per atom.

Unit cell a=5.692 b=5.770 c=8.086 alpha=90.00 beta=90.00 gamma=90.00
Atoms (fractional coordinates):
Th 0.506 0.543 0.250
Th 0.994 0.043 0.250
Th 0.494 0.457 0.750
Th 0.006 0.957 0.750
Ta 0.000 0.500 0.000
Ta 0.500 0.000 0.500
Ta 0.000 0.500 0.500
Ta 0.500 0.000 0.000
N 0.410 0.978 0.250
N 0.090 0.478 0.250
N 0.590 0.022 0.750
N 0.910 0.522 0.750
N 0.799 0.801 0.047
N 0.701 0.301 0.453
N 0.201 0.199 0.547
N 0.299 0.699 0.953
N 0.201 0.199 0.953
N 0.299 0.699 0.547
N 0.799 0.801 0.453
N 0.701 0.301 0.047

# 4
Compound: ThTaN3
Source: the Materials Project database
Functional: PBE-GGA
Structure: relaxed

Calculated values
The value obtained for the formation energy from the elements is -1546 meV/atom. The calculation puts the total energy at -10.1860 eV/atom. The volume comes out at 13.1 Å³ per atom.

Unit cell a=5.523 b=5.523 c=7.685 alpha=90.00 beta=90.00 gamma=145.94
Atoms (fractional coordinates):
Th 0.738 0.262 0.250
Th 0.262 0.738 0.750
Ta 0.000 0.000 0.500
Ta 0.000 0.000 0.000
N 0.072 0.928 0.250
N 0.928 0.072 0.750
N 0.371 0.629 0.444
N 0.629 0.371 0.556
N 0.371 0.629 0.056
N 0.629 0.371 0.944

# 5
Compound: ThTaN3
Source: the Materials Project database
Functional: PBE-GGA
Structure: relaxed

Calculated values
The value obtained for the formation energy from the elements is -1656 meV/atom. The calculation puts the total energy at -10.2955 eV/atom. The volume comes out at 13.2 Å³ per atom.

Unit cell a=5.709 b=5.709 c=5.709 alpha=119.94 beta=119.21 gamma=90.73
Atoms (fractional coordinates):
Th 0.235 0.250 0.985
Th 0.765 0.750 0.015
Ta 0.500 0.000 0.500
Ta 0.000 0.500 0.500
N 0.355 0.750 0.605
N 0.645 0.250 0.395
N 0.809 0.309 0.000
N 0.191 0.191 0.500
N 0.191 0.691 0.000
N 0.809 0.809 0.500

# 6
Compound: TaTiN2
Source: the Materials Project database
Functional: PBE-GGA
Structure: relaxed

Calculated values
The value obtained for the formation energy from the elements is -1501 meV/atom. The calculation puts the total energy at -10.4274 eV/atom. The volume comes out at 10.3 Å³ per atom.

Unit cell a=3.077 b=3.077 c=4.334 alpha=90.00 beta=90.00 gamma=90.00
Atoms (fractional coordinates):
Ta 0.000 0.000 0.000
Ti 0.500 0.500 0.500
N 0.000 0.000 0.500
N 0.500 0.500 0.000

# 7
Compound: TaTi2N3
Source: the Materials Project database
Functional: PBE-GGA
Structure: relaxed

Calculated values
The value obtained for the formation energy from the elements is -1189 meV/atom. The calculation puts the total energy at -9.7850 eV/atom. The volume comes out at 10.5 Å³ per atom.

Unit cell a=5.035 b=5.035 c=2.883 alpha=90.00 beta=90.00 gamma=120.00
Atoms (fractional coordinates):
Ta 0.000 0.000 0.000
Ti 0.667 0.333 0.500
Ti 0.333 0.667 0.500
N 0.500 0.500 0.000
N 0.500 0.000 0.000
N 0.000 0.500 0.000

# 8
Compound: ZrTa2N3
Source: the Materials Project database
Functional: PBE-GGA
Structure: relaxed

Calculated values
The value obtained for the formation energy from the elements is -1189 meV/atom. The calculation puts the total energy at -10.5537 eV/atom. The volume comes out at 12.0 Å³ per atom.

Unit cell a=5.283 b=5.283 c=2.984 alpha=90.00 beta=90.00 gamma=120.00
Atoms (fractional coordinates):
Zr 0.000 0.000 0.000
Ta 0.667 0.333 0.500
Ta 0.333 0.667 0.500
N 0.500 0.500 0.000
N 0.500 0.000 0.000
N 0.000 0.500 0.000